Entry 1:
MgSnP2 after structural relaxation, computed with meta-GGA r2SCAN.

calculated formation energy = -397 meV/atom

a = 5.9005 Å, b = 5.9005 Å, c = 11.4875 Å
α = 90.00°, β = 90.00°, γ = 90.00°
Closest atoms and distances in Å follow each position.
Space group I-42d (No. 122)
Asymmetric unit:
Mg1 0.0000 0.0000 0.0000 x4  4 P 2.55
Sn1 0.0000 0.0000 0.5000 x4  4 P 2.52
P1 0.2456 0.7500 0.6250 x8  2 Sn 2.52, 2 Mg 2.55

---

Entry 2:
MgAlPd2 after structural relaxation, computed with meta-GGA r2SCAN.

calculated formation energy = -835 meV/atom

a = 6.1838 Å, b = 6.1838 Å, c = 6.1838 Å
α = 90.00°, β = 90.00°, γ = 90.00°
Closest atoms and distances in Å follow each position.
Space group Fm-3m (No. 225)
Asymmetric unit:
Mg1 0.0000 0.0000 0.0000 x4  8 Pd 2.68
Al1 0.0000 0.0000 0.5000 x4  8 Pd 2.68
Pd1 0.2500 0.2500 0.2500 x8  4 Mg 2.68, 4 Al 2.68

---

Entry 3:
Fe2C2O7 after structural relaxation, computed with meta-GGA r2SCAN.

calculated formation energy = -1361 meV/atom

a = 7.7225 Å, b = 7.7370 Å, c = 10.8058 Å
α = 90.00°, β = 99.13°, γ = 90.00°
Closest atoms and distances in Å follow each position.
Space group P2_1/c (No. 14)
Asymmetric unit:
Fe1 0.1429 0.1427 0.1153 x4  4 O 1.80-1.94
Fe2 0.2821 0.5759 0.8749 x4  4 O 1.82-2.00
C1 0.2350 0.6137 0.4398 x4  3 O 1.27-1.32
C2 0.3446 0.0815 0.6150 x4  3 O 1.28-1.30
O1 0.0980 0.7176 0.4327 x4  1 C 1.32
O2 0.1380 0.5267 0.7295 x4  2 Fe 1.80-1.82
O3 0.2282 0.0423 0.9751 x4  1 C 1.27
O4 0.2317 0.0652 0.5131 x4  1 C 1.30
O5 0.3098 0.1927 0.6959 x4  1 C 1.29
O6 0.3712 0.6833 0.4086 x4  1 C 1.27
O7 0.4847 0.5093 0.1336 x4  1 C 1.28

---

Entry 4:
CaLaCd2 after structural relaxation, computed with meta-GGA r2SCAN.

calculated formation energy = -416 meV/atom

a = 7.7569 Å, b = 7.7569 Å, c = 7.7569 Å
α = 90.00°, β = 90.00°, γ = 90.00°
Closest atoms and distances in Å follow each position.
Space group Fm-3m (No. 225)
Asymmetric unit:
Ca1 0.0000 0.0000 0.0000 x4  8 Cd 3.36
La1 0.0000 0.0000 0.5000 x4  8 Cd 3.36
Cd1 0.2500 0.2500 0.2500 x8  4 La 3.36, 4 Ca 3.36

---

Entry 5:
CaMgTl2 after structural relaxation, computed with meta-GGA r2SCAN.

calculated formation energy = -330 meV/atom

a = 7.4590 Å, b = 7.4590 Å, c = 7.4590 Å
α = 90.00°, β = 90.00°, γ = 90.00°
Closest atoms and distances in Å follow each position.
Space group Fm-3m (No. 225)
Asymmetric unit:
Ca1 0.0000 0.0000 0.0000 x4  8 Tl 3.23
Mg1 0.0000 0.0000 0.5000 x4  8 Tl 3.23
Tl1 0.2500 0.2500 0.2500 x8  4 Mg 3.23, 4 Ca 3.23

---

Entry 6:
ScHO2 after structural relaxation, computed with meta-GGA r2SCAN.

calculated formation energy = -2819 meV/atom

a = 10.3150 Å, b = 3.2196 Å, c = 4.7673 Å
α = 90.00°, β = 90.00°, γ = 90.00°
Closest atoms and distances in Å follow each position.
Space group Pnma (No. 62)
Asymmetric unit:
Sc1 0.1443 0.2500 0.0724 x4  6 O 2.06-2.22
H1 0.0925 0.7500 0.6140 x4  1 O 0.99
O1 0.0598 0.7500 0.8090 x4  1 H 0.99
O2 0.1941 0.7500 0.3186 x4  1 H 1.76

---

Entry 7:
RbBr after structural relaxation, computed with meta-GGA r2SCAN.

calculated formation energy = -1960 meV/atom

a = 4.1261 Å, b = 4.1261 Å, c = 4.1261 Å
α = 90.00°, β = 90.00°, γ = 90.00°
Closest atoms and distances in Å follow each position.
Space group Pm-3m (No. 221)
Asymmetric unit:
Rb1 0.0000 0.0000 0.0000 x1  8 Br 3.57
Br1 0.5000 0.5000 0.5000 x1  8 Rb 3.57

---

Entry 8:
AgMo6Cl13 after structural relaxation, computed with meta-GGA r2SCAN.

calculated formation energy = -1030 meV/atom

a = 8.9158 Å, b = 9.0781 Å, c = 13.9416 Å
α = 96.16°, β = 102.52°, γ = 113.24°
Closest atoms and distances in Å follow each position.
Space group P-1 (No. 2)
Asymmetric unit:
Ag1 0.0388 0.2686 0.2742 x2  4 Cl 2.57-2.65
Mo1 0.2983 0.0019 0.4349 x2  5 Cl 2.44-2.49, 4 Mo 2.60
Mo2 0.3148 0.3825 0.0422 x2  5 Cl 2.45-2.50, 4 Mo 2.60
Mo3 0.3622 0.5482 0.9019 x2  5 Cl 2.44-2.49, 4 Mo 2.60-2.61
Mo4 0.3952 0.7747 0.4754 x2  5 Cl 2.44-2.49, 4 Mo 2.59-2.61
Mo5 0.4461 0.0126 0.6199 x2  5 Cl 2.46-2.56, 4 Mo 2.59-2.61
Mo6 0.4583 0.3132 0.9117 x2  5 Cl 2.48-2.55, 4 Mo 2.60-2.61
Cl1 0.0345 0.0129 0.3506 x2  1 Mo 2.44, 1 Ag 2.65
Cl2 0.0667 0.2195 0.0954 x2  1 Mo 2.45, 1 Ag 2.57
Cl3 0.1532 0.2562 0.8648 x2  3 Mo 2.46-2.48
Cl4 0.1569 0.7959 0.5290 x2  3 Mo 2.47-2.49
Cl5 0.1787 0.5982 0.7642 x2  1 Mo 2.44, 1 Ag 2.65
Cl6 0.2325 0.6143 0.0314 x2  3 Mo 2.48-2.50
Cl7 0.2556 0.4756 0.4383 x2  1 Mo 2.44, 1 Ag 2.61
Cl8 0.2578 0.7746 0.2999 x2  3 Mo 2.49
Cl9 0.3523 0.2229 0.5737 x2  3 Mo 2.45-2.48
Cl10 0.3878 0.0474 0.7910 x2  2 Mo 2.55-2.56
Cl11 0.4154 0.1630 0.0494 x2  3 Mo 2.48-2.49
Cl12 0.4603 0.2052 0.3464 x2  3 Mo 2.48-2.49
Cl13 0.4900 0.5188 0.2167 x2  3 Mo 2.46-2.49

---

Entry 9:
LuHO2 after structural relaxation, computed with meta-GGA r2SCAN.

calculated formation energy = -2960 meV/atom

a = 4.2008 Å, b = 3.5064 Å, c = 5.7691 Å
α = 90.00°, β = 109.32°, γ = 90.00°
Closest atoms and distances in Å follow each position.
Space group P2_1 (No. 4)
Asymmetric unit:
Lu1 0.1674 0.0000 0.3119 x2  7 O 2.19-2.39
H1 0.4834 0.4577 0.0780 x2  1 O 0.97
O1 0.2503 0.5053 0.0608 x2  1 H 0.97
O2 0.2674 0.5020 0.5533 x2  4 Lu 2.19-2.24

---

Entry 10:
Cs2HgI4 after structural relaxation, computed with meta-GGA r2SCAN.

calculated formation energy = -1202 meV/atom

a = 8.0654 Å, b = 8.4794 Å, c = 11.0587 Å
α = 90.00°, β = 109.97°, γ = 90.00°
Closest atoms and distances in Å follow each position.
Space group P2_1/m (No. 11)
Asymmetric unit:
Cs1 0.2016 0.2500 0.0414 x2  6 I 3.87-4.00, 1 Hg 4.28
Cs2 0.2872 0.2500 0.5845 x2  8 I 3.94-4.35
Hg1 0.1963 0.7500 0.7835 x2  4 I 2.80-2.85
I1 0.0337 0.5130 0.2769 x4  1 Hg 2.83
I2 0.3695 0.7500 0.0552 x2  1 Hg 2.85
I3 0.4144 0.7500 0.6330 x2  1 Hg 2.80

---

Entry 11:
RbNdTe2 after structural relaxation, computed with meta-GGA r2SCAN.

calculated formation energy = -1678 meV/atom

a = 4.6439 Å, b = 4.6439 Å, c = 25.5718 Å
α = 90.00°, β = 90.00°, γ = 120.00°
Closest atoms and distances in Å follow each position.
Space group R-3m (No. 166, hexagonal axes)
Asymmetric unit:
Rb1 0.0000 0.0000 0.0000 x3  6 Te 3.67
Nd1 0.0000 0.0000 0.5000 x3  6 Te 3.21
Te1 0.0000 0.0000 0.2355 x6  3 Nd 3.21

---

Entry 12:
RbGeCl3 after structural relaxation, computed with meta-GGA r2SCAN.

calculated formation energy = -1415 meV/atom

a = 7.9898 Å, b = 7.2995 Å, c = 10.8444 Å
α = 90.00°, β = 90.00°, γ = 90.00°
Closest atoms and distances in Å follow each position.
Space group Pna2_1 (No. 33)
Asymmetric unit:
Rb1 0.0842 0.0293 0.0000 x4  8 Cl 3.34-3.66
Ge1 0.0272 0.5151 0.2324 x4  3 Cl 2.36-2.38
Cl1 0.0055 0.4172 0.5207 x4  1 Ge 2.36
Cl2 0.1696 0.7887 0.2836 x4  1 Ge 2.37
Cl3 0.2217 0.8442 0.7035 x4  1 Ge 2.38